No. 1
Density functional theory data (meta-GGA r2SCAN) for a relaxed Ca2Ti3O8 crystal.

abc: 6.352 6.352 5.062
angles: 107.90 107.90 57.19
Fractional positions:
Ca: 0.225 0.225 0.162
Ca: 0.775 0.775 0.838
Ti: 0.234 0.766 0.500
Ti: 0.500 0.500 0.000
Ti: 0.766 0.234 0.500
O: 0.104 0.104 0.452
O: 0.176 0.616 0.107
O: 0.384 0.824 0.893
O: 0.401 0.401 0.595
O: 0.599 0.599 0.405
O: 0.616 0.176 0.107
O: 0.824 0.384 0.893
O: 0.896 0.896 0.548

Properties
For the density, the calculation gives 3.633 g/cm³. Its energy relative to the elements is -3.4086 eV per atom. As for the space-group type: C2/m. The calculation puts the final energy at -11.15 eV/atom.

---

No. 2
Density functional theory data (meta-GGA r2SCAN) for a relaxed Ca2Tl2O5 crystal.

abc: 5.876 5.876 13.462
angles: 90.00 90.00 146.67
Fractional positions:
Ca: 0.029 0.971 0.500
Ca: 0.217 0.783 0.149
Ca: 0.783 0.217 0.649
Ca: 0.971 0.029 0.000
Tl: 0.238 0.762 0.874
Tl: 0.489 0.511 0.257
Tl: 0.511 0.489 0.757
Tl: 0.762 0.238 0.374
O: 0.125 0.875 0.315
O: 0.161 0.839 0.723
O: 0.329 0.671 0.010
O: 0.410 0.590 0.403
O: 0.428 0.572 0.615
O: 0.572 0.428 0.115
O: 0.590 0.410 0.903
O: 0.671 0.329 0.510
O: 0.839 0.161 0.223
O: 0.875 0.125 0.815

Properties
For the density, the calculation gives 7.398 g/cm³. Its energy relative to the elements is -1.8967 eV per atom. As for the space-group type: Cmc2_1. The calculation puts the final energy at -18.60 eV/atom.